Entry 1:
# PBE NaBrO2, optimized geometry
data_NaBrO2
_chemical_formula_sum 'Na4 Br4 O8'
_cell_length_a 4.332
_cell_length_b 10.903
_cell_length_c 7.064
_cell_angle_alpha 90.00
_cell_angle_beta 114.07
_cell_angle_gamma 90.00
_space_group_name_H-M_alt 'P 1 21/c 1'
_space_group_IT_number 14
loop_
_space_group_symop_operation_xyz
'x,y,z'
'-x,-y,-z'
'-x,y+1/2,-z+1/2'
'x,-y+1/2,z+1/2'
loop_
_atom_site_label
_atom_site_type_symbol
_atom_site_fract_x
_atom_site_fract_y
_atom_site_fract_z
Na1 Na 0.046 0.165 0.054
Br1 Br 0.343 0.062 0.714
O1 O 0.237 0.525 0.740
O2 O 0.373 0.202 0.848
# - calculated formation energy (eV per formula unit) = -3.59
# - distance to the lowest polymorph of the same formula (eV per formula unit) = 0.000

---

Entry 2:
# PBE KMg30BO31, optimized geometry
data_KMg30BO31
_chemical_formula_sum 'K1 Mg30 B1 O31'
_cell_length_a 8.358
_cell_length_b 8.743
_cell_length_c 8.665
_cell_angle_alpha 90.00
_cell_angle_beta 90.00
_cell_angle_gamma 90.00
_space_group_name_H-M_alt 'P m m 2'
_space_group_IT_number 25
loop_
_space_group_symop_operation_xyz
'x,y,z'
'-x,-y,z'
'-x,y,z'
'x,-y,z'
loop_
_atom_site_label
_atom_site_type_symbol
_atom_site_fract_x
_atom_site_fract_y
_atom_site_fract_z
K1 K 0.000 0.000 0.000
Mg1 Mg 0.000 0.000 0.499
Mg2 Mg 0.000 0.251 0.248
Mg3 Mg 0.000 0.253 0.746
Mg4 Mg 0.000 0.500 0.496
Mg5 Mg 0.000 0.500 0.998
Mg6 Mg 0.248 0.500 0.745
Mg7 Mg 0.250 0.000 0.741
Mg8 Mg 0.251 0.251 0.498
Mg9 Mg 0.251 0.500 0.247
Mg10 Mg 0.257 0.261 0.995
Mg11 Mg 0.258 0.000 0.260
Mg12 Mg 0.500 0.000 0.496
Mg13 Mg 0.500 0.241 0.239
Mg14 Mg 0.500 0.263 0.750
Mg15 Mg 0.500 0.500 0.001
Mg16 Mg 0.500 0.500 0.494
B1 B 0.500 0.000 0.919
O1 O 0.000 0.000 0.271
O2 O 0.000 0.000 0.728
O3 O 0.000 0.254 0.497
O4 O 0.000 0.271 0.996
O5 O 0.000 0.500 0.251
O6 O 0.000 0.500 0.742
O7 O 0.250 0.244 0.243
O8 O 0.250 0.249 0.748
O9 O 0.250 0.500 0.997
O10 O 0.251 0.500 0.496
O11 O 0.255 0.000 0.504
O12 O 0.339 0.000 0.976
O13 O 0.500 0.000 0.269
O14 O 0.500 0.250 0.502
O15 O 0.500 0.273 0.994
O16 O 0.500 0.500 0.251
O17 O 0.500 0.500 0.741
# - calculated formation energy (eV per formula unit) = -180.93
# - distance to the lowest polymorph of the same formula (eV per formula unit) = 0.232

---

Entry 3:
# PBE Ti4S8Br6O, optimized geometry
data_Ti4S8Br6O
_chemical_formula_sum 'Ti16 S32 Br24 O4'
_cell_length_a 9.707
_cell_length_b 11.841
_cell_length_c 20.085
_cell_angle_alpha 90.00
_cell_angle_beta 91.65
_cell_angle_gamma 90.00
_space_group_name_H-M_alt 'P 1 21/c 1'
_space_group_IT_number 14
loop_
_space_group_symop_operation_xyz
'x,y,z'
'-x,-y,-z'
'-x,y+1/2,-z+1/2'
'x,-y+1/2,z+1/2'
loop_
_atom_site_label
_atom_site_type_symbol
_atom_site_fract_x
_atom_site_fract_y
_atom_site_fract_z
Ti1 Ti 0.032 0.202 0.341
Ti2 Ti 0.137 0.214 0.983
Ti3 Ti 0.290 0.057 0.387
Ti4 Ti 0.376 0.187 0.881
S1 S 0.043 0.001 0.362
S2 S 0.049 0.639 0.586
S3 S 0.089 0.699 0.055
S4 S 0.161 0.047 0.283
S5 S 0.248 0.042 0.949
S6 S 0.383 0.148 0.999
S7 S 0.458 0.144 0.318
S8 S 0.485 0.654 0.083
Br1 Br 0.067 0.170 0.093
Br2 Br 0.154 0.714 0.239
Br3 Br 0.194 0.148 0.779
Br4 Br 0.224 0.076 0.518
Br5 Br 0.376 0.632 0.899
Br6 Br 0.455 0.558 0.658
O1 O 0.209 0.214 0.399
# - calculated formation energy (eV per formula unit) = -26.94

---

Entry 4:
# PBE BaCaCeZrO6, optimized geometry
data_BaCaCeZrO6
_chemical_formula_sum 'Ba4 Ca4 Ce4 Zr4 O24'
_cell_length_a 8.652
_cell_length_b 8.652
_cell_length_c 8.652
_cell_angle_alpha 90.00
_cell_angle_beta 90.00
_cell_angle_gamma 90.00
_space_group_name_H-M_alt 'F -4 3 m'
_space_group_IT_number 216
_space_group_name_Hall 'F -4 2 3'
loop_
_atom_site_label
_atom_site_type_symbol
_atom_site_fract_x
_atom_site_fract_y
_atom_site_fract_z
Ba1 Ba 0.000 0.000 0.000
Ca1 Ca 0.000 0.000 0.500
Ce1 Ce 0.250 0.250 0.750
Zr1 Zr 0.250 0.250 0.250
O1 O 0.007 0.250 0.250
# - calculated formation energy (eV per formula unit) = -34.74
# - distance to the lowest polymorph of the same formula (eV per formula unit) = 1.104

---

Entry 5:
# PBE Na4H6Se2O11, optimized geometry
data_Na4H6Se2O11
_chemical_formula_sum 'Na32 H48 Se16 O88'
_cell_length_a 8.758
_cell_length_b 35.934
_cell_length_c 6.928
_cell_angle_alpha 90.00
_cell_angle_beta 90.00
_cell_angle_gamma 90.00
_space_group_name_H-M_alt 'F d d 2'
_space_group_IT_number 43
_space_group_name_Hall 'F 2 -2d'
loop_
_atom_site_label
_atom_site_type_symbol
_atom_site_fract_x
_atom_site_fract_y
_atom_site_fract_z
Na1 Na 0.043 0.247 0.000
Na2 Na 0.090 0.346 0.796
H1 H 0.024 0.021 0.435
H2 H 0.062 0.164 0.735
H3 H 0.077 0.134 0.895
Se1 Se 0.013 0.061 0.065
O1 O 0.000 0.000 0.524
O2 O 0.054 0.395 0.558
O3 O 0.100 0.053 0.277
O4 O 0.106 0.306 0.141
O5 O 0.114 0.397 0.042
O6 O 0.115 0.217 0.287
# - calculated formation energy (eV per formula unit) = -35.82

---

Entry 6:
# PBE TiAs2O7, optimized geometry
data_TiAs2O7
_chemical_formula_sum 'Ti4 As8 O28'
_cell_length_a 7.179
_cell_length_b 9.194
_cell_length_c 9.592
_cell_angle_alpha 90.00
_cell_angle_beta 105.45
_cell_angle_gamma 90.00
_space_group_name_H-M_alt 'P 1 21/c 1'
_space_group_IT_number 14
loop_
_space_group_symop_operation_xyz
'x,y,z'
'-x,-y,-z'
'-x,y+1/2,-z+1/2'
'x,-y+1/2,z+1/2'
loop_
_atom_site_label
_atom_site_type_symbol
_atom_site_fract_x
_atom_site_fract_y
_atom_site_fract_z
Ti1 Ti 0.190 0.076 0.283
As1 As 0.034 0.703 0.967
As2 As 0.411 0.749 0.757
O1 O 0.012 0.125 0.109
O2 O 0.034 0.585 0.832
O3 O 0.145 0.176 0.449
O4 O 0.251 0.670 0.096
O5 O 0.363 0.563 0.742
O6 O 0.371 0.226 0.284
O7 O 0.383 0.669 0.401
# - calculated formation energy (eV per formula unit) = -20.85
# - distance to the lowest polymorph of the same formula (eV per formula unit) = 1.073

---

Which of these has the highest calculated formation energy?
NaBrO2